Record 1
A geometry-optimized K3ScH6O6 structure, computed with PBE.

Calculated values
Energy, eV/atom: -4.76
ΔH_f (0 K), meV per atom: -1289

abc: 7.8025 7.8025 8.5611
angles: 90.89 90.89 105.18
Element x y z (fractional)
K 0.1042 0.8958 0.7500
K 0.2585 0.4118 0.6171
K 0.4118 0.2585 0.1171
K 0.5882 0.7415 0.8829
K 0.7415 0.5882 0.3829
K 0.8958 0.1042 0.2500
Sc 0.0000 0.5000 0.0000
Sc 0.5000 0.0000 0.5000
H 0.0893 0.8663 0.2125
H 0.1337 0.9107 0.2875
H 0.2098 0.7465 0.4842
H 0.2535 0.7902 0.0158
H 0.2832 0.6486 0.2712
H 0.3514 0.7168 0.2288
H 0.6486 0.2832 0.7712
H 0.7168 0.3514 0.7288
H 0.7465 0.2098 0.9842
H 0.7902 0.2535 0.5158
H 0.8663 0.0893 0.7125
H 0.9107 0.1337 0.7875
O 0.1109 0.2842 0.9900
O 0.1386 0.3766 0.1512
O 0.2505 0.6933 0.9413
O 0.2842 0.1109 0.4900
O 0.3067 0.7495 0.5587
O 0.3766 0.1386 0.6512
O 0.6234 0.8614 0.3488
O 0.6933 0.2505 0.4413
O 0.7158 0.8891 0.5100
O 0.7495 0.3067 0.0587
O 0.8614 0.6234 0.8488
O 0.8891 0.7158 0.0100

***

Record 2
A geometry-optimized KH3Se2O6 structure, computed with PBE.

Calculated values
Energy, eV/atom: -5.06
ΔH_f (0 K), meV per atom: -1405

abc: 6.4770 6.4385 16.2058
angles: 90.00 90.00 90.00
Element x y z (fractional)
K 0.2481 0.0614 0.0000
K 0.2519 0.5614 0.5000
K 0.7481 0.4386 0.0000
K 0.7519 0.9386 0.5000
H 0.0315 0.8100 0.3298
H 0.0355 0.3119 0.1789
H 0.2335 0.6240 0.0150
H 0.2665 0.1240 0.5150
H 0.4645 0.8119 0.6789
H 0.4685 0.3100 0.8298
H 0.5315 0.6900 0.3298
H 0.5355 0.1881 0.1789
H 0.7335 0.8760 0.0150
H 0.7665 0.3760 0.5150
H 0.9645 0.6881 0.6789
H 0.9685 0.1900 0.8298
Se 0.2061 0.0561 0.6576
Se 0.2124 0.5595 0.8558
Se 0.2876 0.0595 0.3558
Se 0.2939 0.5561 0.1577
Se 0.7061 0.4439 0.6576
Se 0.7124 0.9405 0.8558
Se 0.7876 0.4405 0.3558
Se 0.7939 0.9439 0.1577
O 0.0713 0.8570 0.6167
O 0.0733 0.3567 0.8935
O 0.0907 0.4326 0.2130
O 0.0921 0.9274 0.2951
O 0.1425 0.6347 0.0710
O 0.1477 0.1357 0.4412
O 0.3523 0.6357 0.9412
O 0.3575 0.1347 0.5710
O 0.4079 0.4274 0.7951
O 0.4093 0.9326 0.7130
O 0.4267 0.8567 0.3935
O 0.4287 0.3570 0.1167
O 0.5713 0.6430 0.6167
O 0.5733 0.1433 0.8935
O 0.5907 0.0674 0.2130
O 0.5921 0.5726 0.2951
O 0.6425 0.8653 0.0710
O 0.6477 0.3643 0.4412
O 0.8523 0.8643 0.9412
O 0.8575 0.3653 0.5710
O 0.9079 0.0726 0.7951
O 0.9093 0.5674 0.7130
O 0.9267 0.6433 0.3935
O 0.9287 0.1430 0.1167

***

Record 3
A geometry-optimized K3HSe2O8 structure, computed with PBE.

Calculated values
Energy, eV/atom: -5.07
ΔH_f (0 K), meV per atom: -1658

abc: 8.2316 8.2316 10.3749
angles: 102.48 102.48 42.92
Element x y z (fractional)
K 0.0658 0.5469 0.0987
K 0.2351 0.7649 0.5000
K 0.3731 0.8443 0.1961
K 0.5469 0.0658 0.5987
K 0.7649 0.2351 0.0000
K 0.8443 0.3731 0.6961
H 0.2815 0.3295 0.3576
H 0.3295 0.2815 0.8576
Se 0.1893 0.6504 0.8086
Se 0.4170 0.9570 0.8865
Se 0.6504 0.1893 0.3086
Se 0.9570 0.4170 0.3865
O 0.1258 0.4805 0.4125
O 0.1326 0.4823 0.7857
O 0.1377 0.1565 0.4498
O 0.1565 0.1377 0.9498
O 0.2083 0.7111 0.9723
O 0.4019 0.9006 0.7233
O 0.4520 0.4757 0.7471
O 0.4757 0.4520 0.2471
O 0.4805 0.1258 0.9125
O 0.4823 0.1326 0.2857
O 0.6407 0.7146 0.9662
O 0.7111 0.2083 0.4723
O 0.7146 0.6407 0.4662
O 0.8988 0.9702 0.2304
O 0.9006 0.4019 0.2233
O 0.9702 0.8988 0.7304

***

Record 4
A geometry-optimized K3HSe2O8 structure, computed with PBE.

Calculated values
Energy, eV/atom: -5.07
ΔH_f (0 K), meV per atom: -1658

abc: 8.2522 8.2522 10.3455
angles: 102.57 102.57 42.83
Element x y z (fractional)
K 0.0717 0.5390 0.3480
K 0.2428 0.7572 0.7500
K 0.4610 0.9283 0.1520
K 0.5390 0.0717 0.8480
K 0.7572 0.2428 0.2500
K 0.9283 0.4610 0.6520
H 0.0000 0.0000 0.0000
H 0.0000 0.0000 0.5000
Se 0.1124 0.6551 0.0387
Se 0.3449 0.8876 0.4613
Se 0.6551 0.1124 0.5387
Se 0.8876 0.3449 0.9613
O 0.0956 0.5944 0.8747
O 0.1494 0.1678 0.8997
O 0.1678 0.1494 0.3997
O 0.1696 0.8249 0.0615
O 0.1751 0.8304 0.4385
O 0.3344 0.4112 0.1186
O 0.4056 0.9044 0.6253
O 0.4112 0.3344 0.6186
O 0.5888 0.6656 0.3814
O 0.5944 0.0956 0.3747
O 0.6656 0.5888 0.8814
O 0.8249 0.1696 0.5615
O 0.8304 0.1751 0.9385
O 0.8322 0.8506 0.6003
O 0.8506 0.8322 0.1003
O 0.9044 0.4056 0.1253

***

Record 5
A geometry-optimized KH3Se2O6 structure, computed with PBE.

Calculated values
Energy, eV/atom: -5.06
ΔH_f (0 K), meV per atom: -1408

abc: 6.4516 16.5111 6.4053
angles: 90.00 91.92 90.00
Element x y z (fractional)
K 0.2452 0.0012 0.3120
K 0.2452 0.4988 0.8120
K 0.7548 0.5012 0.1880
K 0.7548 0.9988 0.6880
H 0.0277 0.6691 0.0599
H 0.0277 0.8309 0.5599
H 0.2428 0.5111 0.3790
H 0.2428 0.9889 0.8790
H 0.4678 0.1749 0.5690
H 0.4678 0.3251 0.0690
H 0.5322 0.6749 0.9310
H 0.5322 0.8251 0.4310
H 0.7572 0.0111 0.1210
H 0.7572 0.4889 0.6210
H 0.9723 0.1691 0.4401
H 0.9723 0.3309 0.9401
Se 0.2151 0.1504 0.8132
Se 0.2151 0.3496 0.3132
Se 0.3022 0.6506 0.3053
Se 0.3022 0.8494 0.8053
Se 0.6978 0.1506 0.1947
Se 0.6978 0.3494 0.6947
Se 0.7849 0.6504 0.6868
Se 0.7849 0.8496 0.1868
O 0.0740 0.1109 0.6076
O 0.0740 0.3891 0.1076
O 0.0915 0.7028 0.1832
O 0.0915 0.7972 0.6832
O 0.1547 0.5642 0.3884
O 0.1547 0.9358 0.8884
O 0.3593 0.0686 0.8985
O 0.3593 0.4314 0.3985
O 0.4094 0.2099 0.6830
O 0.4094 0.2901 0.1830
O 0.4324 0.6110 0.1061
O 0.4324 0.8890 0.6061
O 0.5676 0.1110 0.3939
O 0.5676 0.3890 0.8939
O 0.5906 0.7099 0.8170
O 0.5906 0.7901 0.3170
O 0.6407 0.5686 0.6015
O 0.6407 0.9314 0.1015
O 0.8453 0.0642 0.1116
O 0.8453 0.4358 0.6116
O 0.9085 0.2028 0.3168
O 0.9085 0.2972 0.8168
O 0.9260 0.6109 0.8924
O 0.9260 0.8891 0.3924

***

Record 6
A geometry-optimized KH3Se2O8 structure, computed with PBE.

Calculated values
Energy, eV/atom: -5.06
ΔH_f (0 K), meV per atom: -1315

abc: 7.9406 12.1624 9.0075
angles: 90.00 110.68 90.00
Element x y z (fractional)
K 0.1330 0.2491 0.0485
K 0.1330 0.2509 0.5485
K 0.8670 0.7491 0.4515
K 0.8670 0.7509 0.9515
H 0.2321 0.5754 0.4982
H 0.2321 0.9246 0.9982
H 0.2748 0.6252 0.8454
H 0.2748 0.8748 0.3454
H 0.3457 0.5648 0.1964
H 0.3457 0.9352 0.6964
H 0.6543 0.0648 0.3036
H 0.6543 0.4352 0.8036
H 0.7252 0.1252 0.6546
H 0.7252 0.3748 0.1546
H 0.7679 0.0754 0.0018
H 0.7679 0.4246 0.5018
Se 0.0610 0.0007 0.7591
Se 0.0610 0.4993 0.2591
Se 0.4357 0.7130 0.0763
Se 0.4357 0.7870 0.5763
Se 0.5643 0.2130 0.4237
Se 0.5643 0.2870 0.9237
Se 0.9390 0.5007 0.7409
Se 0.9390 0.9993 0.2409
O 0.0511 0.6181 0.7614
O 0.0511 0.8819 0.2614
O 0.0583 0.1126 0.2743
O 0.0583 0.3874 0.7743
O 0.1981 0.0030 0.9630
O 0.1981 0.4970 0.4630
O 0.1993 0.0105 0.6551
O 0.1993 0.4895 0.1551
O 0.2531 0.7121 0.5439
O 0.2531 0.7879 0.0439
O 0.3712 0.2245 0.8750
O 0.3712 0.2755 0.3750
O 0.4098 0.6347 0.9061
O 0.4098 0.8653 0.4061
O 0.4590 0.6195 0.2262
O 0.4590 0.8805 0.7262
O 0.5410 0.1195 0.2738
O 0.5410 0.3805 0.7738
O 0.5902 0.1347 0.5939
O 0.5902 0.3653 0.0939
O 0.6288 0.7245 0.6250
O 0.6288 0.7755 0.1250
O 0.7469 0.2121 0.9561
O 0.7469 0.2879 0.4561
O 0.8007 0.5105 0.8449
O 0.8007 0.9895 0.3449
O 0.8019 0.5030 0.5370
O 0.8019 0.9970 0.0370
O 0.9417 0.6126 0.2257
O 0.9417 0.8874 0.7257
O 0.9489 0.1181 0.7386
O 0.9489 0.3819 0.2386

***

Record 7
A geometry-optimized KHSeO4 structure, computed with PBE.

Calculated values
Energy, eV/atom: -5.08
ΔH_f (0 K), meV per atom: -1507

abc: 8.7993 10.1813 19.7219
angles: 90.00 90.00 90.00
Element x y z (fractional)
K 0.1154 0.1761 0.1253
K 0.1154 0.3239 0.6253
K 0.1250 0.1806 0.8809
K 0.1250 0.3194 0.3809
K 0.3750 0.6806 0.8809
K 0.3750 0.8194 0.3809
K 0.3846 0.6761 0.1253
K 0.3846 0.8239 0.6253
K 0.6154 0.1761 0.3747
K 0.6154 0.3239 0.8747
K 0.6250 0.1806 0.6191
K 0.6250 0.3194 0.1191
K 0.8750 0.6806 0.6191
K 0.8750 0.8194 0.1191
K 0.8846 0.6761 0.3747
K 0.8846 0.8239 0.8747
H 0.0887 0.6080 0.0001
H 0.0887 0.8920 0.5001
H 0.2262 0.5695 0.2785
H 0.2262 0.9305 0.7785
H 0.2738 0.0695 0.2785
H 0.2738 0.4305 0.7785
H 0.4113 0.1080 0.0001
H 0.4113 0.3920 0.5001
H 0.5887 0.6080 0.4999
H 0.5887 0.8920 0.9999
H 0.7262 0.5695 0.2215
H 0.7262 0.9305 0.7215
H 0.7738 0.0695 0.2215
H 0.7738 0.4305 0.7215
H 0.9113 0.1080 0.4999
H 0.9113 0.3920 0.9999
Se 0.0174 0.0157 0.2952
Se 0.0174 0.4843 0.7952
Se 0.2450 0.0770 0.5027
Se 0.2450 0.4230 0.0027
Se 0.2550 0.5770 0.5027
Se 0.2550 0.9230 0.0027
Se 0.4826 0.5157 0.2952
Se 0.4826 0.9843 0.7952
Se 0.5174 0.0157 0.2048
Se 0.5174 0.4843 0.7048
Se 0.7450 0.0770 0.9973
Se 0.7450 0.4230 0.4973
Se 0.7550 0.5770 0.9973
Se 0.7550 0.9230 0.4973
Se 0.9826 0.5157 0.2048
Se 0.9826 0.9843 0.7048
O 0.0696 0.5024 0.2803
O 0.0696 0.9976 0.7803
O 0.0809 0.1575 0.5066
O 0.0809 0.3425 0.0066
O 0.0834 0.6017 0.1504
O 0.0834 0.8983 0.6504
O 0.0846 0.6257 0.8227
O 0.0846 0.8743 0.3227
O 0.1526 0.5977 0.5720
O 0.1526 0.9023 0.0720
O 0.1651 0.6047 0.4306
O 0.1651 0.8953 0.9306
O 0.1722 0.1210 0.2764
O 0.1722 0.3790 0.7764
O 0.2043 0.5940 0.0006
O 0.2043 0.9060 0.5006
O 0.2957 0.0940 0.0006
O 0.2957 0.4060 0.5006
O 0.3278 0.6210 0.2764
O 0.3278 0.8790 0.7764
O 0.3349 0.1047 0.4306
O 0.3349 0.3953 0.9306
O 0.3474 0.0977 0.5720
O 0.3474 0.4023 0.0720
O 0.4154 0.1257 0.8227
O 0.4154 0.3743 0.3227
O 0.4166 0.1017 0.1504
O 0.4166 0.3983 0.6504
O 0.4191 0.6575 0.5066
O 0.4191 0.8425 0.0066
O 0.4304 0.0024 0.2803
O 0.4304 0.4976 0.7803
O 0.5696 0.5024 0.2197
O 0.5696 0.9976 0.7197
O 0.5809 0.1575 0.9934
O 0.5809 0.3425 0.4934
O 0.5834 0.6017 0.3496
O 0.5834 0.8983 0.8496
O 0.5846 0.6257 0.6773
O 0.5846 0.8743 0.1773
O 0.6526 0.5977 0.9280
O 0.6526 0.9023 0.4280
O 0.6651 0.6047 0.0694
O 0.6651 0.8953 0.5694
O 0.6722 0.1210 0.2236
O 0.6722 0.3790 0.7236
O 0.7043 0.5940 0.4994
O 0.7043 0.9060 0.9994
O 0.7957 0.0940 0.4994
O 0.7957 0.4060 0.9994
O 0.8278 0.6210 0.2236
O 0.8278 0.8790 0.7236
O 0.8349 0.1047 0.0694
O 0.8349 0.3953 0.5694
O 0.8474 0.0977 0.9280
O 0.8474 0.4023 0.4280
O 0.9154 0.1257 0.6773
O 0.9154 0.3743 0.1773
O 0.9166 0.1017 0.3496
O 0.9166 0.3983 0.8496
O 0.9191 0.6575 0.9934
O 0.9191 0.8425 0.4934
O 0.9304 0.0024 0.2197
O 0.9304 0.4976 0.7197

***

Record 8
A geometry-optimized KH3Se2O6 structure, computed with PBE.

Calculated values
Energy, eV/atom: -5.06
ΔH_f (0 K), meV per atom: -1405

abc: 16.2521 6.4029 6.4779
angles: 90.00 90.00 90.00
Element x y z (fractional)
K 0.0000 0.1886 0.2500
K 0.0000 0.8114 0.7500
K 0.5000 0.3114 0.7500
K 0.5000 0.6886 0.2500
H 0.0000 0.3767 0.7500
H 0.0000 0.6233 0.2500
H 0.1720 0.0585 0.5310
H 0.1720 0.9415 0.0310
H 0.3280 0.4415 0.0310
H 0.3280 0.5585 0.5310
H 0.5000 0.1233 0.2500
H 0.5000 0.8767 0.7500
H 0.6720 0.4415 0.4690
H 0.6720 0.5585 0.9690
H 0.8280 0.0585 0.9690
H 0.8280 0.9415 0.4690
Se 0.1502 0.3080 0.7908
Se 0.1502 0.6920 0.2908
Se 0.3498 0.1920 0.2908
Se 0.3498 0.8080 0.7908
Se 0.6502 0.1920 0.2092
Se 0.6502 0.8080 0.7092
Se 0.8498 0.3080 0.7092
Se 0.8498 0.6920 0.2092
O 0.0634 0.3866 0.6491
O 0.0634 0.6134 0.1491
O 0.1112 0.1091 0.9328
O 0.1112 0.8909 0.4328
O 0.2069 0.1785 0.5914
O 0.2069 0.8215 0.0914
O 0.2931 0.3215 0.0914
O 0.2931 0.6785 0.5914
O 0.3888 0.3909 0.4328
O 0.3888 0.6091 0.9328
O 0.4366 0.1134 0.1491
O 0.4366 0.8866 0.6491
O 0.5634 0.1134 0.3509
O 0.5634 0.8866 0.8509
O 0.6112 0.3909 0.0672
O 0.6112 0.6091 0.5672
O 0.7069 0.3215 0.4086
O 0.7069 0.6785 0.9086
O 0.7931 0.1785 0.9086
O 0.7931 0.8215 0.4086
O 0.8888 0.1091 0.5672
O 0.8888 0.8909 0.0672
O 0.9366 0.3866 0.8509
O 0.9366 0.6134 0.3509

***

Question: Which formula does entry 6 have?
Answer: KH3Se2O8

***

Question: The highest energy belongs to which entry?
Answer: K3ScH6O6

***

Question: The highest ΔH_f (0 K) belongs to which entry?
Answer: K3ScH6O6